The following is a GGA-PBE calculation of a relaxed structure of Cu9As4, from the Materials Project.

Cell and atoms, written as POSCAR:
```
Cu9As4
1.0
-6.276 5.106 3.922
-4.062 1.109 -7.944
-4.995 -7.317 1.533
Cu As
36 16
direct
0.329 0.671 0.671
0.644 0.000 0.000
0.000 0.000 0.356
0.000 0.000 0.644
0.000 0.644 0.000
0.000 0.356 0.000
0.853 0.500 0.500
0.147 0.500 0.500
0.500 0.500 0.853
0.500 0.500 0.147
0.356 0.000 0.000
0.500 0.853 0.500
0.320 0.320 0.028
0.680 0.028 0.680
0.680 0.972 0.320
0.972 0.680 0.320
0.028 0.680 0.680
0.320 0.680 0.972
0.680 0.320 0.972
0.028 0.320 0.320
0.320 0.028 0.320
0.972 0.320 0.680
0.320 0.972 0.680
0.680 0.680 0.028
0.671 0.671 0.329
0.671 0.329 0.671
0.329 0.329 0.329
0.830 0.170 0.170
0.170 0.170 0.830
0.170 0.830 0.170
0.830 0.830 0.830
0.602 0.398 0.398
0.398 0.398 0.602
0.398 0.602 0.398
0.602 0.602 0.602
0.500 0.147 0.500
0.127 0.127 0.127
0.873 0.127 0.873
0.873 0.873 0.127
0.127 0.873 0.873
0.806 0.467 0.194
0.467 0.806 0.194
0.806 0.533 0.806
0.533 0.806 0.806
0.194 0.806 0.467
0.806 0.194 0.467
0.533 0.194 0.194
0.467 0.194 0.806
0.194 0.467 0.806
0.194 0.533 0.194
0.806 0.806 0.533
0.194 0.194 0.533
```

- Formation energy from the elements: 0.11 eV/atom
- Magnetic moment: 0.0001 μB/atom
- Mass density: 8.0 Mg/m³